(1)
Ag3Au, relaxed, DFT r2SCAN; E_form = -0.062 eV/atom; E_tot = -28.725 eV/atom; theoretical density = 12441 kg/m³; space-group type = No. 221
1.0
4.111 0.000 0.000
0.000 4.111 0.000
0.000 0.000 4.111
Ag Au
3 1
Cartesian
0.000 0.000 2.056 Ag
0.000 2.056 0.000 Ag
2.056 0.000 0.000 Ag
2.056 2.056 2.056 Au

***

(2)
Rb2AgAuBr6, relaxed, DFT r2SCAN; E_form = -1.003 eV/atom; E_tot = -18.938 eV/atom; theoretical density = 5107 kg/m³; space-group type = No. 225
1.0
0.000 5.375 5.375
5.375 0.000 5.375
5.375 5.375 0.000
Rb Ag Au Br
2 1 1 6
Cartesian
2.688 2.688 2.688 Rb
8.063 8.063 8.063 Rb
0.000 0.000 0.000 Ag
5.375 5.375 5.375 Au
5.375 5.375 2.713 Br
5.375 2.713 5.375 Br
8.037 5.375 5.375 Br
2.713 5.375 5.375 Br
5.375 8.037 5.375 Br
5.375 5.375 8.037 Br

***

(3)
Ca2AgAu, relaxed, DFT r2SCAN; E_form = -0.555 eV/atom; E_tot = -22.059 eV/atom; theoretical density = 6619 kg/m³; space-group type = No. 225
1.0
7.283 0.000 0.000
0.000 7.283 0.000
0.000 0.000 7.283
Ca Ag Au
8 4 4
Cartesian
1.821 1.821 1.821 Ca
1.821 1.821 5.462 Ca
1.821 5.462 1.821 Ca
1.821 5.462 5.462 Ca
5.462 1.821 1.821 Ca
5.462 1.821 5.462 Ca
5.462 5.462 1.821 Ca
5.462 5.462 5.462 Ca
0.000 0.000 0.000 Ag
0.000 3.642 3.642 Ag
3.642 0.000 3.642 Ag
3.642 3.642 0.000 Ag
0.000 0.000 3.642 Au
0.000 3.642 0.000 Au
3.642 0.000 0.000 Au
3.642 3.642 3.642 Au

***

(4)
CeAgAu2, relaxed, DFT r2SCAN; E_form = -0.588 eV/atom; E_tot = -38.929 eV/atom; theoretical density = 12107 kg/m³; space-group type = No. 225
1.0
7.062 0.000 0.000
0.000 7.062 0.000
0.000 0.000 7.062
Ce Ag Au
4 4 8
Cartesian
0.000 0.000 0.000 Ce
0.000 3.531 3.531 Ce
3.531 0.000 3.531 Ce
3.531 3.531 0.000 Ce
0.000 0.000 3.531 Ag
0.000 3.531 0.000 Ag
3.531 0.000 0.000 Ag
3.531 3.531 3.531 Ag
1.765 1.765 1.765 Au
1.765 1.765 5.296 Au
1.765 5.296 1.765 Au
1.765 5.296 5.296 Au
5.296 1.765 1.765 Au
5.296 1.765 5.296 Au
5.296 5.296 1.765 Au
5.296 5.296 5.296 Au